A:
YB3H24N4, optimized geometry, DFT PBE; SG = Pnma (62)
1.0
-6.693 2.905 0.810
-1.561 -0.337 -11.691
-4.908 -11.585 0.989
H B N Y
96 12 16 4
Cartesian
-7.775 -8.613 -3.945
-10.516 -8.963 -9.759
-7.485 0.282 -2.836
-5.978 -0.531 -10.372
-5.677 -9.299 -7.056
-7.635 -2.012 -9.846
-3.300 -0.194 -5.021
-5.347 -9.230 -1.997
-5.528 -7.005 -0.045
-4.765 -6.416 -4.646
-5.387 -0.404 -5.947
-11.572 -8.777 -8.529
-5.002 0.444 -7.447
-8.160 -9.461 -2.445
-7.201 -5.079 -1.869
-5.195 -5.533 -0.729
-3.866 -4.728 -6.221
-7.172 -5.291 -6.788
-5.034 -6.386 -8.075
-2.159 -3.809 -0.325
-2.937 -1.815 -8.487
-2.587 -4.881 -1.661
-1.956 -0.319 -4.102
-3.413 -3.086 -10.393
-7.858 -8.015 -9.657
-10.346 -7.353 -5.346
-9.296 -4.288 -3.670
-7.332 -7.901 -5.719
-4.514 -3.086 -5.282
-6.856 1.628 -2.109
-7.968 -3.484 -9.163
-7.112 -1.899 -5.936
-7.902 -6.394 -2.588
-7.873 -5.763 1.198
-3.790 -0.068 -8.424
-9.372 -8.948 -1.468
-4.411 -2.778 -2.308
-2.887 -2.973 -6.454
-2.750 -3.936 -4.751
-10.358 -4.089 -6.601
-5.831 -1.115 -4.172
-6.872 -6.964 -7.813
-5.260 0.817 -4.357
-5.561 -5.612 -3.468
-4.406 -4.845 -10.262
-10.413 -5.080 -5.141
-6.876 -9.423 -10.700
-8.751 -6.238 -7.583
-6.306 -10.645 -7.783
-7.943 -9.414 -0.815
-5.484 -2.671 -8.972
-2.647 -0.053 -0.132
-10.868 -7.465 -9.257
-7.815 0.213 -7.894
-7.062 0.238 -4.999
-5.261 -2.623 -7.304
-9.050 -2.742 -10.134
-9.749 -5.930 0.502
-10.226 -7.202 -1.404
-5.145 -10.950 -3.008
-6.290 -2.053 -2.078
-7.602 -3.405 -6.423
-5.961 -3.937 -8.022
-8.288 1.875 -8.913
-7.903 -9.834 -5.535
-8.397 -2.601 -5.245
-10.275 -6.044 -3.437
-5.289 -3.254 -11.089
-5.220 0.397 -9.076
-8.757 -4.172 0.371
-11.004 -5.208 -9.566
-5.305 -1.002 -0.234
-6.287 0.406 0.808
-4.720 0.934 -0.316
-8.129 -2.631 -1.816
-6.050 -7.118 -3.956
-7.184 -8.485 0.481
-2.816 -1.664 -4.545
-5.719 -3.667 -1.074
-8.649 -5.931 -4.609
-7.262 0.330 -1.167
-5.900 -9.347 -8.724
-4.112 -6.275 0.243
-2.804 -4.928 -3.290
-5.990 -3.726 -3.104
-6.100 -9.255 -4.893
-1.590 -0.240 -1.363
-11.206 -8.698 -5.789
-9.863 -8.822 -4.870
-2.294 -1.551 -0.635
-10.576 -4.136 -8.230
-7.679 -6.346 -0.919
-7.443 -5.349 -8.817
-8.442 -9.950 -9.576
-8.017 1.933 -6.883
-4.874 -10.892 -0.979
-7.966 -9.069 -10.296
-5.902 -0.100 -4.876
-7.261 -8.917 -5.015
-5.606 -3.083 -2.140
-4.742 -10.316 -2.047
-7.557 -5.933 -7.752
-8.932 -5.184 1.055
-8.420 1.299 -7.845
-4.231 -3.833 -10.946
-3.525 -3.680 -5.665
-9.637 -5.336 -4.226
-5.197 0.052 0.405
-10.687 -8.417 -8.911
-8.371 -2.564 -9.389
-9.147 -2.571 -1.682
-6.289 -9.618 -7.815
-5.224 -6.546 -3.741
-2.475 -0.600 -0.980
-7.924 -5.800 -1.752
-4.535 0.637 -8.344
-10.255 -8.323 -5.673
-8.627 -9.653 -1.547
-7.939 -2.471 -6.151
-6.873 0.601 -2.077
-4.016 -6.446 -8.210
-5.238 -3.217 -8.139
-2.907 -0.693 -4.219
-4.791 -6.452 -0.502
-8.555 -8.626 -7.541
-2.967 -4.194 -8.415
-10.196 -4.822 -1.477
-4.608 -0.390 -2.351

B:
YB3H24N4, optimized geometry, DFT PBE; SG = Pna2_1 (33)
1.0
-7.858 -0.769 -1.193
-1.243 -5.132 11.501
-1.924 11.805 5.059
N H B Y
16 96 12 4
Cartesian
-7.007 -1.077 10.232
-2.818 2.485 5.946
-3.857 5.967 11.663
-4.254 8.433 5.758
-6.678 2.796 13.484
-7.412 9.226 5.136
-7.404 1.389 4.327
-4.734 -1.836 8.107
-4.063 1.370 1.138
-9.804 2.940 11.701
-0.907 1.043 2.843
-9.403 5.034 7.226
-1.338 -0.868 7.396
-5.978 5.820 6.437
-8.724 6.593 10.781
-4.130 -0.149 11.592
-7.554 4.055 10.730
-2.512 6.062 8.172
-5.898 3.821 9.580
-7.120 -1.611 4.754
-7.040 3.523 2.875
-2.664 -1.315 4.712
-3.852 6.561 12.498
-2.976 3.175 5.198
-3.449 5.406 15.569
-5.022 5.467 6.540
-6.682 -3.478 8.776
-3.944 -2.302 7.657
-6.556 4.985 6.330
-5.479 5.340 15.655
-2.584 3.021 6.787
-5.749 3.241 13.525
-6.195 6.224 7.358
-9.190 7.476 10.549
-3.612 7.782 6.216
-0.989 2.011 2.502
-2.789 -1.983 9.964
-7.326 0.990 8.676
-6.641 1.239 3.664
-6.826 -0.987 2.909
-7.756 9.151 6.104
-8.242 9.169 4.538
-3.699 9.066 5.158
-7.639 -1.237 11.034
-6.654 2.280 1.314
-3.536 -0.018 5.939
-1.427 0.450 2.194
-3.138 4.762 3.384
-3.852 0.413 0.841
-4.326 8.766 8.342
-3.734 2.071 6.145
-2.981 -2.469 11.868
-1.268 -1.839 7.078
-8.736 6.351 14.215
-5.565 -2.251 7.675
-3.509 2.221 9.173
-3.892 0.580 10.904
-1.860 3.080 9.899
-3.790 8.010 10.066
-7.075 10.188 5.025
-7.266 3.400 12.905
-7.760 6.711 10.456
-6.830 -4.088 10.643
-4.127 6.750 8.512
-3.370 4.235 9.207
-4.635 -0.937 4.493
-5.865 1.394 7.345
-4.612 6.233 14.143
-4.321 6.501 10.908
-3.597 1.512 2.038
-8.672 6.556 11.809
-7.781 0.036 1.494
-8.094 3.680 1.162
-4.698 0.309 12.311
-4.618 8.991 6.537
-2.066 -0.843 8.115
-4.467 4.212 14.305
-3.190 -3.872 10.476
-8.797 5.755 6.828
-4.741 -0.862 7.777
-9.172 4.156 6.752
-5.133 -4.473 9.610
-6.146 4.244 1.290
-8.333 -2.282 3.280
-7.179 5.754 3.167
-7.835 1.574 6.878
-9.948 3.352 12.633
-7.499 -1.350 9.378
-7.018 1.328 5.284
-9.073 2.233 11.792
-9.181 6.004 3.237
-8.313 -1.383 6.671
-5.059 5.271 3.569
-4.470 5.193 11.930
-7.666 2.368 4.166
-7.363 5.148 9.096
-3.751 5.747 5.034
-6.589 1.904 12.989
-7.705 3.198 8.932
-6.994 -0.258 7.107
-3.252 -0.386 12.063
-8.012 6.516 4.816
-6.900 -0.062 10.126
-2.806 3.179 12.721
-1.352 -3.120 10.836
-3.607 3.256 10.900
-5.679 7.692 9.386
-7.918 7.598 3.167
-8.365 8.892 8.427
-5.076 1.439 1.317
-3.247 0.477 4.050
-3.661 6.711 3.318
-8.117 6.446 3.573
-4.489 7.801 9.071
-4.492 5.296 14.915
-7.077 4.043 9.575
-6.993 3.426 1.660
-2.526 -2.880 10.792
-6.370 -4.388 9.536
-7.168 -1.961 3.570
-6.995 0.921 7.504
-3.093 3.181 9.789
-3.567 -0.477 4.790
-3.891 5.608 3.823
-4.967 -2.400 10.566
-5.887 7.256 4.352
-9.549 4.393 9.641
-1.305 0.464 5.277

Most stable of them? A.